VASP calculation (PBE-GGA) on a geometry-optimized MnCrNi4Sn2 structure. Values from VASP.

The structure in Quantum ESPRESSO input format:
```
&SYSTEM
  ibrav = 0, nat = 8, ntyp = 4
/
ATOMIC_SPECIES
Mn 54.94 Mn.upf
Cr 52.00 Cr.upf
Ni 58.69 Ni.upf
Sn 118.71 Sn.upf
CELL_PARAMETERS angstrom
2.147 1.240 7.006
-2.147 1.240 7.006
0.000 -2.479 7.006
ATOMIC_POSITIONS crystal
Mn 0.000 0.000 0.000
Cr 0.500 0.500 0.500
Ni 0.125 0.125 0.125
Ni 0.375 0.375 0.375
Ni 0.625 0.625 0.625
Ni 0.875 0.875 0.875
Sn 0.250 0.250 0.250
Sn 0.750 0.750 0.750
```

- Size of the total moment: 0.944 μB/atom
- Formation enthalpy at 0 K: -107 meV per atom
- Raw total energy: -6.35 eV per atom